# 1
## Bi2WO8 (PBE+U)

Data for crystalline Bi2WO8 at its relaxed geometry.

Values from the calculation:
formation enthalpy at 0 K: -1416 meV per atom
energy above the lowest structure with this stoichiometry: 0.042 eV per atom

The structure in CIF format:
```
data_Bi2WO8
_chemical_formula_sum 'Bi2 W1 O8'
_space_group_name_H-M_alt 'P 1'
_space_group_IT_number 1
_cell_length_a 5.454
_cell_length_b 5.723
_cell_length_c 5.807
_cell_angle_alpha 112.12
_cell_angle_beta 103.40
_cell_angle_gamma 97.50
loop_
_space_group_symop_operation_xyz
'x,y,z'
loop_
_atom_site_label
_atom_site_type_symbol
_atom_site_fract_x
_atom_site_fract_y
_atom_site_fract_z
Bi1 Bi 0.521 0.953 0.023
Bi2 Bi 0.763 0.771 0.503
W1 W 0.170 0.351 0.489
O1 O 0.202 0.226 0.725
O2 O 0.138 0.725 0.705
O3 O 0.298 0.214 0.208
O4 O 0.413 0.728 0.219
O5 O 0.535 0.580 0.684
O6 O 0.716 0.096 0.809
O7 O 0.903 0.955 0.273
O8 O 0.821 0.381 0.323
```

---

# 2
## Li2VCrO4 (PBE+U)

Data for crystalline Li2VCrO4 at its relaxed geometry.

Values from the calculation:
formation enthalpy at 0 K: -2445 meV per atom
energy above the lowest structure with this stoichiometry: 0.004 eV per atom

The structure in CIF format:
```
data_Li2VCrO4
_chemical_formula_sum 'Li4 V2 Cr2 O8'
_space_group_name_H-M_alt 'P 1'
_space_group_IT_number 1
_cell_length_a 5.142
_cell_length_b 5.170
_cell_length_c 6.006
_cell_angle_alpha 106.85
_cell_angle_beta 90.03
_cell_angle_gamma 100.02
loop_
_space_group_symop_operation_xyz
'x,y,z'
loop_
_atom_site_label
_atom_site_type_symbol
_atom_site_fract_x
_atom_site_fract_y
_atom_site_fract_z
Li1 Li 0.000 0.000 0.000
Li2 Li 0.498 0.003 0.755
Li3 Li 0.000 0.000 0.500
Li4 Li 0.502 0.997 0.245
V1 V 0.750 0.501 0.625
V2 V 0.250 0.499 0.375
Cr1 Cr 0.250 0.499 0.877
Cr2 Cr 0.750 0.501 0.123
O1 O 0.880 0.272 0.822
O2 O 0.623 0.724 0.931
O3 O 0.375 0.274 0.569
O4 O 0.120 0.728 0.689
O5 O 0.880 0.272 0.311
O6 O 0.625 0.726 0.431
O7 O 0.377 0.276 0.069
O8 O 0.120 0.728 0.178
```

---

# 3
## Ti6Co3O16 (PBE+U)

Data for crystalline Ti6Co3O16 at its relaxed geometry.

Values from the calculation:
formation enthalpy at 0 K: -2787 meV per atom

The structure in CIF format:
```
data_Ti6Co3O16
_chemical_formula_sum 'Ti12 Co6 O32'
_space_group_name_H-M_alt 'P 1'
_space_group_IT_number 1
_cell_length_a 8.476
_cell_length_b 8.394
_cell_length_c 8.427
_cell_angle_alpha 89.84
_cell_angle_beta 90.00
_cell_angle_gamma 90.00
loop_
_space_group_symop_operation_xyz
'x,y,z'
loop_
_atom_site_label
_atom_site_type_symbol
_atom_site_fract_x
_atom_site_fract_y
_atom_site_fract_z
Ti1 Ti 0.885 0.610 0.867
Ti2 Ti 0.367 0.109 0.894
Ti3 Ti 0.646 0.364 0.883
Ti4 Ti 0.620 0.611 0.620
Ti5 Ti 0.365 0.864 0.636
Ti6 Ti 0.111 0.132 0.645
Ti7 Ti 0.865 0.136 0.364
Ti8 Ti 0.611 0.868 0.355
Ti9 Ti 0.120 0.389 0.380
Ti10 Ti 0.867 0.891 0.106
Ti11 Ti 0.385 0.390 0.133
Ti12 Ti 0.146 0.636 0.117
Co1 Co 0.743 0.996 0.745
Co2 Co 0.259 0.492 0.759
Co3 Co 0.994 0.759 0.499
Co4 Co 0.494 0.241 0.501
Co5 Co 0.759 0.508 0.241
Co6 Co 0.243 0.004 0.255
O1 O 0.610 0.135 0.852
O2 O 0.857 0.865 0.887
O3 O 0.649 0.597 0.847
O4 O 0.148 0.127 0.853
O5 O 0.860 0.389 0.880
O6 O 0.378 0.895 0.850
O7 O 0.112 0.614 0.891
O8 O 0.392 0.356 0.898
O9 O 0.890 0.100 0.617
O10 O 0.865 0.647 0.636
O11 O 0.609 0.862 0.614
O12 O 0.604 0.386 0.632
O13 O 0.362 0.114 0.633
O14 O 0.143 0.887 0.603
O15 O 0.392 0.641 0.633
O16 O 0.141 0.358 0.607
O17 O 0.862 0.886 0.367
O18 O 0.643 0.113 0.397
O19 O 0.641 0.642 0.393
O20 O 0.390 0.900 0.383
O21 O 0.892 0.359 0.367
O22 O 0.365 0.353 0.364
O23 O 0.109 0.138 0.386
O24 O 0.104 0.614 0.368
O25 O 0.878 0.105 0.150
O26 O 0.892 0.644 0.102
O27 O 0.648 0.873 0.147
O28 O 0.357 0.135 0.113
O29 O 0.360 0.611 0.120
O30 O 0.612 0.386 0.109
O31 O 0.110 0.865 0.148
O32 O 0.149 0.403 0.153
```

---

# 4
## Mg14CrSiO16 (PBE+U)

Data for crystalline Mg14CrSiO16 at its relaxed geometry.

Values from the calculation:
formation enthalpy at 0 K: -2799 meV per atom
energy above the lowest structure with this stoichiometry: 0.005 eV per atom

The structure in CIF format:
```
data_Mg14CrSiO16
_chemical_formula_sum 'Mg14 Cr1 Si1 O16'
_space_group_name_H-M_alt 'P 1'
_space_group_IT_number 1
_cell_length_a 8.648
_cell_length_b 8.648
_cell_length_c 4.264
_cell_angle_alpha 90.00
_cell_angle_beta 90.00
_cell_angle_gamma 90.00
loop_
_space_group_symop_operation_xyz
'x,y,z'
loop_
_atom_site_label
_atom_site_type_symbol
_atom_site_fract_x
_atom_site_fract_y
_atom_site_fract_z
Mg1 Mg 0.000 0.500 0.000
Mg2 Mg 0.500 0.000 0.000
Mg3 Mg 0.000 0.253 0.500
Mg4 Mg 0.000 0.747 0.500
Mg5 Mg 0.500 0.246 0.500
Mg6 Mg 0.500 0.754 0.500
Mg7 Mg 0.253 0.000 0.500
Mg8 Mg 0.246 0.500 0.500
Mg9 Mg 0.747 0.000 0.500
Mg10 Mg 0.754 0.500 0.500
Mg11 Mg 0.250 0.250 0.000
Mg12 Mg 0.250 0.750 0.000
Mg13 Mg 0.750 0.250 0.000
Mg14 Mg 0.750 0.750 0.000
Cr1 Cr 0.500 0.500 0.000
Si1 Si 0.000 0.000 0.000
O1 O 0.260 0.000 0.000
O2 O 0.243 0.500 0.000
O3 O 0.740 0.000 0.000
O4 O 0.757 0.500 0.000
O5 O 0.250 0.250 0.500
O6 O 0.250 0.750 0.500
O7 O 0.750 0.250 0.500
O8 O 0.750 0.750 0.500
O9 O 0.000 0.000 0.500
O10 O 0.000 0.500 0.500
O11 O 0.500 0.000 0.500
O12 O 0.500 0.500 0.500
O13 O 0.000 0.260 0.000
O14 O 0.000 0.740 0.000
O15 O 0.500 0.243 0.000
O16 O 0.500 0.757 0.000
```

---

# 5
## Sr2AlGaW2O7 (PBE+U)

Data for crystalline Sr2AlGaW2O7 at its relaxed geometry.

Values from the calculation:
formation enthalpy at 0 K: -2163 meV per atom
energy above the lowest structure with this stoichiometry: 0.000 eV per atom

The structure in CIF format:
```
data_Sr2AlGaW2O7
_chemical_formula_sum 'Sr4 Al2 Ga2 W4 O14'
_space_group_name_H-M_alt 'P 1'
_space_group_IT_number 1
_cell_length_a 5.505
_cell_length_b 6.127
_cell_length_c 11.832
_cell_angle_alpha 105.09
_cell_angle_beta 103.12
_cell_angle_gamma 90.01
loop_
_space_group_symop_operation_xyz
'x,y,z'
loop_
_atom_site_label
_atom_site_type_symbol
_atom_site_fract_x
_atom_site_fract_y
_atom_site_fract_z
Sr1 Sr 0.154 0.170 0.306
Sr2 Sr 0.834 0.811 0.687
Sr3 Sr 0.659 0.623 0.312
Sr4 Sr 0.330 0.376 0.680
Al1 Al 0.456 0.454 0.982
Al2 Al 0.032 0.997 0.000
Ga1 Ga 0.222 0.819 0.496
Ga2 Ga 0.722 0.177 0.499
W1 W 0.443 0.913 0.871
W2 W 0.085 0.586 0.133
W3 W 0.942 0.419 0.867
W4 W 0.565 0.080 0.134
O1 O 0.701 0.408 0.103
O2 O 0.890 0.907 0.503
O3 O 0.211 0.244 0.121
O4 O 0.839 0.381 0.652
O5 O 0.801 0.094 0.885
O6 O 0.279 0.229 0.850
O7 O 0.388 0.094 0.499
O8 O 0.092 0.754 0.873
O9 O 0.594 0.585 0.885
O10 O 0.355 0.752 0.642
O11 O 0.175 0.608 0.347
O12 O 0.714 0.251 0.356
O13 O 0.902 0.900 0.110
O14 O 0.396 0.831 0.194
```

---

no.,total magnetic moment (μB/f.u.),total energy (eV per formula unit)
1,0.00,-65.969
2,1.00,-55.460
3,11.00,-201.643
4,4.00,-193.212
5,6.00,-85.135